[1]
{
  "formula": "Tm2BeOs",
  "functional": "r²SCAN",
  "state": "relaxed",
  "total_energy_ev_per_atom": -32.118,
  "cell": [[6.698, 0.000, 0.000], [0.000, 6.698, 0.000], [0.000, 0.000, 6.698]],
  "species": ["Tm", "Tm", "Tm", "Tm", "Tm", "Tm", "Tm", "Tm", "Be", "Be", "Be", "Be", "Os", "Os", "Os", "Os"],
  "frac_coords": [[0.250, 0.250, 0.250], [0.250, 0.250, 0.750], [0.250, 0.750, 0.250], [0.250, 0.750, 0.750], [0.750, 0.250, 0.250], [0.750, 0.250, 0.750], [0.750, 0.750, 0.250], [0.750, 0.750, 0.750], [0.000, 0.000, 0.000], [0.000, 0.500, 0.500], [0.500, 0.000, 0.500], [0.500, 0.500, 0.000], [0.000, 0.000, 0.500], [0.000, 0.500, 0.000], [0.500, 0.000, 0.000], [0.500, 0.500, 0.500]]
}

=====

[2]
{
  "formula": "Be5Pd",
  "functional": "r²SCAN",
  "state": "relaxed",
  "total_energy_ev_per_atom": -7.761,
  "cell": [[0.000, 2.988, 2.988], [2.988, 0.000, 2.988], [2.988, 2.988, 0.000]],
  "species": ["Be", "Be", "Be", "Be", "Be", "Pd"],
  "frac_coords": [[0.000, 0.000, 0.000], [0.375, 0.375, 0.375], [0.375, 0.375, 0.876], [0.375, 0.876, 0.375], [0.876, 0.375, 0.375], [0.750, 0.750, 0.750]]
}

=====

[3]
{
  "formula": "BePd3",
  "functional": "r²SCAN",
  "state": "relaxed",
  "total_energy_ev_per_atom": -18.686,
  "cell": [[2.854, 0.000, 0.000], [0.000, 9.643, 0.000], [0.000, 0.000, 7.632]],
  "species": ["Be", "Be", "Be", "Be", "Pd", "Pd", "Pd", "Pd", "Pd", "Pd", "Pd", "Pd", "Pd", "Pd", "Pd", "Pd"],
  "frac_coords": [[0.000, 0.247, 0.250], [0.000, 0.753, 0.750], [0.500, 0.253, 0.750], [0.500, 0.747, 0.250], [0.000, 0.067, 0.750], [0.000, 0.364, 0.561], [0.000, 0.364, 0.939], [0.000, 0.636, 0.061], [0.000, 0.636, 0.439], [0.000, 0.933, 0.250], [0.500, 0.136, 0.061], [0.500, 0.136, 0.439], [0.500, 0.433, 0.250], [0.500, 0.567, 0.750], [0.500, 0.864, 0.561], [0.500, 0.864, 0.939]]
}

=====

[4]
{
  "formula": "Be2PdPt",
  "functional": "r²SCAN",
  "state": "relaxed",
  "total_energy_ev_per_atom": -21.483,
  "cell": [[5.649, 0.000, 0.000], [0.000, 5.649, 0.000], [0.000, 0.000, 5.649]],
  "species": ["Be", "Be", "Be", "Be", "Be", "Be", "Be", "Be", "Pd", "Pd", "Pd", "Pd", "Pt", "Pt", "Pt", "Pt"],
  "frac_coords": [[0.250, 0.250, 0.250], [0.250, 0.250, 0.750], [0.250, 0.750, 0.250], [0.250, 0.750, 0.750], [0.750, 0.250, 0.250], [0.750, 0.250, 0.750], [0.750, 0.750, 0.250], [0.750, 0.750, 0.750], [0.000, 0.000, 0.000], [0.000, 0.500, 0.500], [0.500, 0.000, 0.500], [0.500, 0.500, 0.000], [0.000, 0.000, 0.500], [0.000, 0.500, 0.000], [0.500, 0.000, 0.000], [0.500, 0.500, 0.500]]
}

=====

[5]
{
  "formula": "Zr6Be15Pd8",
  "functional": "r²SCAN",
  "state": "relaxed",
  "total_energy_ev_per_atom": -13.779,
  "cell": [[0.000, 5.719, 5.719], [5.719, 0.000, 5.719], [5.719, 5.719, 0.000]],
  "species": ["Zr", "Zr", "Zr", "Zr", "Zr", "Zr", "Be", "Be", "Be", "Be", "Be", "Be", "Be", "Be", "Be", "Be", "Be", "Be", "Be", "Be", "Be", "Pd", "Pd", "Pd", "Pd", "Pd", "Pd", "Pd", "Pd"],
  "frac_coords": [[0.201, 0.201, 0.799], [0.201, 0.799, 0.201], [0.201, 0.799, 0.799], [0.799, 0.201, 0.201], [0.799, 0.201, 0.799], [0.799, 0.799, 0.201], [0.000, 0.000, 0.500], [0.000, 0.500, 0.000], [0.000, 0.500, 0.500], [0.175, 0.175, 0.175], [0.175, 0.175, 0.474], [0.175, 0.474, 0.175], [0.474, 0.175, 0.175], [0.500, 0.000, 0.000], [0.500, 0.000, 0.500], [0.500, 0.500, 0.000], [0.500, 0.500, 0.500], [0.526, 0.825, 0.825], [0.825, 0.526, 0.825], [0.825, 0.825, 0.526], [0.825, 0.825, 0.825], [0.125, 0.625, 0.625], [0.375, 0.375, 0.375], [0.375, 0.375, 0.875], [0.375, 0.875, 0.375], [0.625, 0.125, 0.625], [0.625, 0.625, 0.125], [0.625, 0.625, 0.625], [0.875, 0.375, 0.375]]
}

=====

[6]
{
  "formula": "Be5Pt",
  "functional": "r²SCAN",
  "state": "relaxed",
  "total_energy_ev_per_atom": -12.687,
  "cell": [[0.000, 2.981, 2.981], [2.981, 0.000, 2.981], [2.981, 2.981, 0.000]],
  "species": ["Be", "Be", "Be", "Be", "Be", "Pt"],
  "frac_coords": [[0.000, 0.000, 0.000], [0.374, 0.374, 0.374], [0.374, 0.374, 0.877], [0.374, 0.877, 0.374], [0.877, 0.374, 0.374], [0.750, 0.750, 0.750]]
}

=====

[7]
{
  "formula": "PuBe13",
  "functional": "r²SCAN",
  "state": "relaxed",
  "total_energy_ev_per_atom": -10.349,
  "cell": [[-3.620, 3.626, 5.120], [3.620, -3.626, 5.120], [3.620, 3.626, -5.120]],
  "species": ["Pu", "Pu", "Be", "Be", "Be", "Be", "Be", "Be", "Be", "Be", "Be", "Be", "Be", "Be", "Be", "Be", "Be", "Be", "Be", "Be", "Be", "Be", "Be", "Be", "Be", "Be", "Be", "Be"],
  "frac_coords": [[0.250, 0.250, 0.000], [0.750, 0.750, 0.000], [0.000, 0.500, 0.500], [0.062, 0.210, 0.500], [0.062, 0.562, 0.272], [0.062, 0.790, 0.852], [0.210, 0.062, 0.272], [0.210, 0.710, 0.148], [0.210, 0.938, 0.500], [0.290, 0.438, 0.500], [0.290, 0.562, 0.852], [0.290, 0.790, 0.728], [0.438, 0.290, 0.728], [0.438, 0.710, 0.500], [0.438, 0.938, 0.148], [0.500, 0.000, 0.500], [0.562, 0.062, 0.852], [0.562, 0.290, 0.500], [0.562, 0.710, 0.272], [0.710, 0.210, 0.272], [0.710, 0.438, 0.148], [0.710, 0.562, 0.500], [0.790, 0.062, 0.500], [0.790, 0.290, 0.852], [0.790, 0.938, 0.728], [0.938, 0.210, 0.148], [0.938, 0.438, 0.728], [0.938, 0.790, 0.500]]
}

=====

[8]
{
  "formula": "BeSiRh2",
  "functional": "r²SCAN",
  "state": "relaxed",
  "total_energy_ev_per_atom": -16.199,
  "cell": [[5.698, 0.000, 0.000], [0.000, 5.698, 0.000], [0.000, 0.000, 5.698]],
  "species": ["Be", "Be", "Be", "Be", "Si", "Si", "Si", "Si", "Rh", "Rh", "Rh", "Rh", "Rh", "Rh", "Rh", "Rh"],
  "frac_coords": [[0.000, 0.000, 0.000], [0.000, 0.500, 0.500], [0.500, 0.000, 0.500], [0.500, 0.500, 0.000], [0.000, 0.000, 0.500], [0.000, 0.500, 0.000], [0.500, 0.000, 0.000], [0.500, 0.500, 0.500], [0.250, 0.250, 0.250], [0.250, 0.250, 0.750], [0.250, 0.750, 0.250], [0.250, 0.750, 0.750], [0.750, 0.250, 0.250], [0.750, 0.250, 0.750], [0.750, 0.750, 0.250], [0.750, 0.750, 0.750]]
}

=====

[9]
{
  "formula": "Be3Ru",
  "functional": "r²SCAN",
  "state": "relaxed",
  "total_energy_ev_per_atom": -9.967,
  "cell": [[3.165, 0.000, 0.000], [0.000, 3.165, 0.000], [0.000, 0.000, 7.497]],
  "species": ["Be", "Be", "Be", "Be", "Be", "Be", "Ru", "Ru"],
  "frac_coords": [[0.000, 0.000, 0.000], [0.000, 0.500, 0.250], [0.000, 0.500, 0.750], [0.500, 0.000, 0.250], [0.500, 0.000, 0.750], [0.500, 0.500, 0.500], [0.000, 0.000, 0.500], [0.500, 0.500, 0.000]]
}

=====

[10]
{
  "formula": "Be3Ru",
  "functional": "r²SCAN",
  "state": "relaxed",
  "total_energy_ev_per_atom": -9.942,
  "cell": [[4.778, 0.000, 0.000], [-2.389, 4.137, 0.000], [0.000, 0.000, 3.757]],
  "species": ["Be", "Be", "Be", "Be", "Be", "Be", "Ru", "Ru"],
  "frac_coords": [[0.161, 0.322, 0.250], [0.161, 0.839, 0.250], [0.322, 0.161, 0.750], [0.678, 0.839, 0.250], [0.839, 0.161, 0.750], [0.839, 0.678, 0.750], [0.333, 0.667, 0.750], [0.667, 0.333, 0.250]]
}

=====

[11]
{
  "formula": "BeS",
  "functional": "r²SCAN",
  "state": "relaxed",
  "total_energy_ev_per_atom": -7.399,
  "cell": [[4.870, 0.000, 0.000], [0.000, 4.870, 0.000], [0.000, 0.000, 4.870]],
  "species": ["Be", "Be", "Be", "Be", "S", "S", "S", "S"],
  "frac_coords": [[0.000, 0.000, 0.000], [0.000, 0.500, 0.500], [0.500, 0.000, 0.500], [0.500, 0.500, 0.000], [0.250, 0.250, 0.750], [0.250, 0.750, 0.250], [0.750, 0.250, 0.250], [0.750, 0.750, 0.750]]
}

=====

[12]
{
  "formula": "Sc2Be17",
  "functional": "r²SCAN",
  "state": "relaxed",
  "total_energy_ev_per_atom": -5.263,
  "cell": [[7.528, 0.000, 0.000], [-3.764, 6.520, 0.000], [0.000, 0.000, 7.334]],
  "species": ["Sc", "Sc", "Sc", "Sc", "Be", "Be", "Be", "Be", "Be", "Be", "Be", "Be", "Be", "Be", "Be", "Be", "Be", "Be", "Be", "Be", "Be", "Be", "Be", "Be", "Be", "Be", "Be", "Be", "Be", "Be", "Be", "Be", "Be", "Be", "Be", "Be", "Be", "Be"],
  "frac_coords": [[0.000, 0.000, 0.250], [0.000, 0.000, 0.750], [0.333, 0.667, 0.250], [0.667, 0.333, 0.750], [0.000, 0.500, 0.000], [0.000, 0.500, 0.500], [0.046, 0.378, 0.750], [0.046, 0.669, 0.750], [0.166, 0.332, 0.012], [0.166, 0.332, 0.488], [0.166, 0.834, 0.012], [0.166, 0.834, 0.488], [0.331, 0.378, 0.750], [0.331, 0.954, 0.750], [0.332, 0.166, 0.512], [0.332, 0.166, 0.988], [0.333, 0.667, 0.606], [0.333, 0.667, 0.894], [0.378, 0.046, 0.250], [0.378, 0.331, 0.250], [0.500, 0.000, 0.000], [0.500, 0.000, 0.500], [0.500, 0.500, 0.000], [0.500, 0.500, 0.500], [0.622, 0.669, 0.750], [0.622, 0.954, 0.750], [0.667, 0.333, 0.106], [0.667, 0.333, 0.394], [0.668, 0.834, 0.012], [0.668, 0.834, 0.488], [0.669, 0.046, 0.250], [0.669, 0.622, 0.250], [0.834, 0.166, 0.512], [0.834, 0.166, 0.988], [0.834, 0.668, 0.512], [0.834, 0.668, 0.988], [0.954, 0.331, 0.250], [0.954, 0.622, 0.250]]
}

=====

Number 1: calculated volume 300.48 Å³/cell. Number 2: calculated volume 53.35 Å³/cell. Number 3: calculated volume 210.08 Å³/cell. Number 4: calculated volume 180.24 Å³/cell. Number 5: calculated volume 374.16 Å³/cell. Number 6: calculated volume 53.00 Å³/cell. Number 7: calculated volume 268.82 Å³/cell. Number 8: calculated volume 185.03 Å³/cell. Number 9: calculated volume 75.11 Å³/cell. Number 10: calculated volume 74.26 Å³/cell. Number 11: calculated volume 115.52 Å³/cell. Number 12: calculated volume 359.96 Å³/cell.